# PBE SrCaSmBiO6, relaxed
# E_form in eV/atom: -2.807
# E_tot in eV per atom: -6.594
# Spin magnetization in μB/f.u.: 0.0
data_SrCaSmBiO6
_symmetry_space_group_name_H-M 'P 1'
_symmetry_Int_Tables_number 1
_cell_length_a 5.909
_cell_length_b 6.096
_cell_length_c 8.504
_cell_angle_alpha 89.97
_cell_angle_beta 89.71
_cell_angle_gamma 89.93
loop_
_symmetry_equiv_pos_as_xyz
'x,y,z'
loop_
_atom_site_label
_atom_site_type_symbol
_atom_site_fract_x
_atom_site_fract_y
_atom_site_fract_z
_atom_site_occupancy
O1 O 0.375 0.962 0.262 1
O2 O 0.897 0.562 0.761 1
O3 O 0.685 0.292 0.443 1
O4 O 0.707 0.309 0.052 1
O5 O 0.293 0.691 0.948 1
O6 O 0.315 0.708 0.557 1
O7 O 0.819 0.795 0.066 1
O8 O 0.625 0.038 0.738 1
O9 O 0.181 0.205 0.934 1
O10 O 0.206 0.188 0.566 1
O11 O 0.103 0.438 0.239 1
O12 O 0.794 0.812 0.434 1
Bi1 Bi 0.500 0.000 0.500 1
Bi2 Bi 0.000 0.500 0.000 1
Sm1 Sm 0.500 0.000 0.000 1
Sm2 Sm 0.000 0.500 0.500 1
Ca1 Ca 0.986 0.049 0.248 1
Ca2 Ca 0.014 0.951 0.752 1
Sr1 Sr 0.488 0.448 0.750 1
Sr2 Sr 0.512 0.552 0.250 1